1.
A plane-wave DFT calculation with PBE was carried out for a relaxed structure of WN2Cl6.

Volume, Å³/cell: 276.0
Energy of formation, eV per atom: 0.078

POSCAR file:
```
WN2Cl6
1.0
1.639 -6.585 2.712
-4.086 -5.798 -1.762
2.709 -5.184 -4.381
Cl W N
6 1 2
Cartesian
-2.201 -7.132 -1.741 Cl
-1.294 -10.775 -0.241 Cl
1.558 -6.793 -3.190 Cl
-0.703 -10.000 -4.164 Cl
2.465 -10.436 -1.690 Cl
0.966 -7.568 0.734 Cl
0.000 0.000 0.000 W
0.066 -4.392 -0.858 N
0.197 -13.175 -2.573 N
```

2.
A plane-wave DFT calculation with PBE was carried out for a relaxed structure of SnCl2O2.

Volume, Å³/cell: 576.0
Energy of formation, eV per atom: -0.616
Offset from the most stable computed form, eV/atom: 0.0244

POSCAR file:
```
SnCl2O2
1.0
7.210 0.000 0.000
0.000 9.349 0.000
0.000 4.176 8.546
O Cl Sn
8 8 4
Cartesian
0.471 7.775 8.138 O
4.354 12.599 8.178 O
2.855 0.926 0.368 O
3.133 12.449 8.138 O
4.076 1.076 0.408 O
6.460 7.924 8.178 O
0.749 5.601 0.368 O
6.738 5.750 0.408 O
3.556 9.780 5.716 Cl
3.894 5.868 5.703 Cl
6.920 10.542 5.703 Cl
7.161 8.419 2.830 Cl
0.049 5.105 5.716 Cl
3.316 7.657 2.843 Cl
3.654 3.745 2.830 Cl
0.289 2.983 2.843 Cl
1.561 3.130 5.168 Sn
2.043 7.805 5.168 Sn
5.648 10.394 3.378 Sn
5.166 5.720 3.378 Sn
```

> Which value of volume does entry 2 give?

576.0 Å³/cell

> Number 1 is which compound?

WN2Cl6